(1)
Hf3P PBE optimized geometry; calculated density = 12.349 g/cm3; ΔH_f (0 K) = -0.792 eV per atom
1.0
10.699 0.000 0.000
0.000 10.699 0.000
0.000 0.000 5.323
Hf P
24 8
direct
0.916 0.608 0.532
0.084 0.392 0.532
0.892 0.416 0.032
0.108 0.584 0.032
0.584 0.892 0.968
0.416 0.108 0.968
0.608 0.084 0.468
0.392 0.916 0.468
0.862 0.972 0.720
0.138 0.028 0.720
0.528 0.362 0.220
0.472 0.638 0.220
0.638 0.528 0.780
0.362 0.472 0.780
0.972 0.138 0.280
0.028 0.862 0.280
0.820 0.716 0.012
0.180 0.284 0.012
0.784 0.320 0.512
0.216 0.680 0.512
0.680 0.784 0.488
0.320 0.216 0.488
0.716 0.180 0.988
0.284 0.820 0.988
0.794 0.959 0.213
0.206 0.041 0.213
0.541 0.294 0.713
0.459 0.706 0.713
0.706 0.541 0.287
0.294 0.459 0.287
0.959 0.206 0.787
0.041 0.794 0.787


(2)
CeZnPd PBE optimized geometry; calculated density = 8.305 g/cm3; ΔH_f (0 K) = -0.640 eV per atom
1.0
3.677 -6.369 0.000
3.677 6.369 0.000
0.000 0.000 3.995
Ce Zn Pd
3 3 3
direct
0.000 0.411 0.000
0.589 0.589 0.000
0.411 0.000 0.000
0.000 0.756 0.500
0.244 0.244 0.500
0.756 0.000 0.500
0.000 0.000 0.000
0.667 0.333 0.500
0.333 0.667 0.500


(3)
KI2O6 PBE optimized geometry; calculated density = 4.025 g/cm3; M_tot = 0.11 μB per atom; ΔH_f (0 K) = -0.973 eV per atom
1.0
-5.595 2.197 -4.459
-5.679 -3.408 5.445
-1.007 17.389 9.833
K I O
8 16 48
direct
0.521 0.515 0.853
0.479 0.485 0.353
0.521 0.985 0.353
0.479 0.015 0.853
0.990 0.537 0.657
0.010 0.463 0.157
0.990 0.963 0.157
0.010 0.037 0.657
0.815 0.823 0.504
0.185 0.177 0.004
0.815 0.677 0.004
0.185 0.323 0.504
0.313 0.736 0.505
0.687 0.264 0.005
0.313 0.764 0.005
0.687 0.236 0.505
0.960 0.816 0.833
0.040 0.184 0.333
0.960 0.684 0.333
0.040 0.316 0.833
0.526 0.757 0.691
0.474 0.243 0.191
0.526 0.743 0.191
0.474 0.257 0.691
0.729 0.641 0.463
0.271 0.359 0.963
0.729 0.859 0.963
0.271 0.141 0.463
0.604 0.932 0.487
0.396 0.068 0.987
0.604 0.568 0.987
0.396 0.432 0.487
0.784 0.787 0.593
0.216 0.213 0.093
0.784 0.713 0.093
0.216 0.287 0.593
0.105 0.628 0.526
0.895 0.372 0.026
0.105 0.872 0.026
0.895 0.128 0.526
0.201 0.921 0.533
0.799 0.079 0.033
0.201 0.579 0.033
0.799 0.421 0.533
0.281 0.750 0.414
0.719 0.250 0.914
0.281 0.750 0.914
0.719 0.250 0.414
0.086 0.774 0.754
0.914 0.226 0.254
0.086 0.726 0.254
0.914 0.274 0.754
0.884 0.621 0.858
0.116 0.379 0.358
0.884 0.879 0.358
0.116 0.121 0.858
0.764 0.886 0.787
0.236 0.114 0.287
0.764 0.614 0.287
0.236 0.386 0.787
0.348 0.694 0.634
0.652 0.306 0.134
0.348 0.806 0.134
0.652 0.194 0.634
0.396 0.755 0.771
0.604 0.245 0.271
0.396 0.745 0.271
0.604 0.255 0.771
0.641 0.572 0.705
0.359 0.428 0.205
0.641 0.928 0.205
0.359 0.072 0.705


(4)
Te4Mo3WSe2S2 PBE optimized geometry; calculated density = 4.973 g/cm3; M_tot = 0.00 μB per atom; ΔH_f (0 K) = -0.501 eV per atom
1.0
1.997 1.015 2.556
-2.865 1.691 -0.692
-20.194 -23.877 25.257
Te Mo W Se S
4 3 1 2 2
direct
0.000 0.000 0.327
0.333 0.667 0.424
0.333 0.667 0.517
0.000 0.000 0.234
0.000 0.000 0.094
0.333 0.667 0.281
0.333 0.667 0.658
0.000 0.000 0.471
0.000 0.000 0.699
0.000 0.000 0.617
0.333 0.667 0.057
0.333 0.667 0.131